Below is an optimized crystal structure of Tm3Pt, with properties calculated at the PBE level.

POSCAR file:
```
Tm3Pt
1.0
6.947 0.000 0.000
0.000 9.426 0.000
0.000 0.000 6.445
Tm Pt
12 4
Cartesian
0.184 2.357 0.844
1.260 0.574 4.381
1.260 4.139 4.381
2.214 5.287 1.159
2.214 8.853 1.159
3.290 7.070 4.067
3.657 2.357 2.378
4.733 0.574 5.286
4.733 4.139 5.286
5.687 5.287 2.064
5.687 8.853 2.064
6.763 7.070 5.601
0.764 7.070 2.910
2.709 2.357 6.133
4.238 7.070 0.312
6.182 2.357 3.535
```

Properties
VASP energy: -5.62 eV per atom
Energy of formation: -0.741 eV/atom
SG: Pnma (62)

Below is an optimized crystal structure of Tm5Pt4, with properties calculated at the PBE level.

POSCAR file:
```
Tm5Pt4
1.0
7.369 0.000 0.000
0.000 14.707 0.000
0.000 0.000 7.475
Tm Pt
20 16
Cartesian
0.212 1.459 1.302
0.212 5.895 1.302
0.924 9.095 2.514
0.924 12.964 2.514
1.539 3.677 3.700
2.146 11.030 7.438
2.761 1.742 6.251
2.761 5.611 6.251
3.472 8.812 5.040
3.472 13.248 5.040
3.897 1.459 2.435
3.897 5.895 2.435
4.609 9.095 1.224
4.609 12.964 1.224
5.224 3.677 0.037
5.830 11.030 3.775
6.445 1.742 4.961
6.445 5.611 4.961
7.157 8.812 6.173
7.157 13.248 6.173
0.562 3.677 6.558
1.175 11.030 4.797
1.561 0.651 3.927
1.561 6.702 3.927
2.124 8.004 0.189
2.124 14.056 0.189
2.510 3.677 1.059
3.122 11.030 2.820
4.247 3.677 4.655
4.859 11.030 6.416
5.246 0.651 7.286
5.246 6.702 7.286
5.808 8.004 3.548
5.808 14.056 3.548
6.194 3.677 2.678
6.807 11.030 0.917
```

Properties
VASP energy: -6.40 eV per atom
Energy of formation: -1.213 eV/atom
SG: Pnma (62)

Below is an optimized crystal structure of TmPt, with properties calculated at the PBE level.

POSCAR file:
```
TmPt
1.0
6.975 0.000 0.000
0.000 4.423 0.000
0.000 0.000 5.578
Tm Pt
4 4
Cartesian
1.262 1.106 0.790
2.225 3.317 3.579
4.750 1.106 1.999
5.713 3.317 4.788
0.312 1.106 3.668
3.176 3.317 0.879
3.799 1.106 4.699
6.663 3.317 1.910
```

Properties
VASP energy: -6.60 eV per atom
Energy of formation: -1.322 eV/atom
SG: Pnma (62)

Below is an optimized crystal structure of Tm3Pt4, with properties calculated at the PBE level.

POSCAR file:
```
Tm3Pt4
1.0
6.557 3.786 1.896
-6.557 3.786 1.896
0.000 -7.572 1.896
Tm Pt
6 8
Cartesian
-1.672 -1.890 1.348
-0.801 2.393 1.348
2.473 -0.503 1.348
-2.473 0.503 4.340
0.801 -2.393 4.340
1.672 1.890 4.340
0.000 0.000 0.000
-3.220 0.619 1.588
1.074 -3.098 1.588
-2.146 -2.479 4.101
0.000 0.000 2.844
2.146 2.479 1.588
-1.074 3.098 4.101
3.220 -0.619 4.101
```

Properties
VASP energy: -6.66 eV per atom
Energy of formation: -1.268 eV/atom
SG: R-3 (148)

Below is an optimized crystal structure of TmPt2, with properties calculated at the PBE level.

POSCAR file:
```
TmPt2
1.0
0.000 3.826 3.826
3.826 0.000 3.826
3.826 3.826 0.000
Tm Pt
2 4
Cartesian
0.957 0.957 0.957
6.696 6.696 6.696
3.826 1.913 1.913
1.913 3.826 1.913
1.913 1.913 3.826
3.826 3.826 3.826
```

Properties
VASP energy: -6.64 eV per atom
Energy of formation: -1.105 eV/atom
SG: Fd-3m (227)

Below is an optimized crystal structure of UPt, with properties calculated at the PBE level.

POSCAR file:
```
UPt
1.0
5.773 0.000 0.000
0.000 10.669 0.000
-1.168 0.000 5.698
U Pt
8 8
Cartesian
0.401 0.000 0.899
-0.124 2.522 3.722
1.615 5.437 2.293
1.025 7.719 5.177
2.991 0.103 3.405
3.580 2.384 0.521
4.730 7.856 1.976
4.204 5.335 4.798
0.673 2.867 0.889
0.080 10.325 3.782
1.832 8.258 2.388
1.324 4.908 5.192
3.281 10.243 0.506
2.773 2.924 3.310
4.525 4.990 1.915
3.933 8.202 4.808
```

Properties
VASP energy: -9.20 eV per atom
Energy of formation: -0.520 eV/atom
SG: P2_1 (4)

Below is an optimized crystal structure of U3Pt, with properties calculated at the PBE level.

POSCAR file:
```
U3Pt
1.0
0.000 3.393 3.393
3.393 0.000 3.393
3.393 3.393 0.000
U Pt
3 1
Cartesian
0.000 0.000 0.000
1.697 1.697 1.697
5.090 5.090 5.090
3.393 3.393 3.393
```

Properties
VASP energy: -10.21 eV per atom
Energy of formation: -0.228 eV/atom
SG: Fm-3m (225)

Below is an optimized crystal structure of UPt, with properties calculated at the PBE level.

POSCAR file:
```
UPt
1.0
2.023 -5.169 0.000
2.023 5.169 0.000
0.000 0.000 4.255
U Pt
2 2
Cartesian
2.023 3.836 3.191
2.023 -3.836 1.064
2.023 1.048 3.191
2.023 -1.048 1.064
```

Properties
VASP energy: -9.23 eV per atom
Energy of formation: -0.544 eV/atom
SG: Cmcm (63)

Below is an optimized crystal structure of UPt5, with properties calculated at the PBE level.

POSCAR file:
```
UPt5
1.0
0.000 3.747 3.747
3.747 0.000 3.747
3.747 3.747 0.000
U Pt
1 5
Cartesian
0.000 0.000 0.000
2.813 2.813 2.813
4.682 4.682 2.813
4.682 2.813 4.682
5.621 5.621 5.621
2.813 4.682 4.682
```

Properties
VASP energy: -7.48 eV per atom
Energy of formation: -0.535 eV/atom
SG: F-43m (216)

Below is an optimized crystal structure of V3Pt, with properties calculated at the PBE level.

POSCAR file:
```
V3Pt
1.0
3.835 0.000 0.000
0.000 3.835 0.000
0.000 0.000 3.835
V Pt
3 1
Cartesian
0.000 0.000 1.917
0.000 1.917 0.000
1.917 0.000 0.000
1.917 1.917 1.917
```

Properties
VASP energy: -8.57 eV per atom
Energy of formation: -0.237 eV/atom
SG: Pm-3m (221)

Below is an optimized crystal structure of V3Pt, with properties calculated at the PBE level.

POSCAR file:
```
V3Pt
1.0
4.815 0.000 0.000
0.000 4.815 0.000
0.000 0.000 4.815
V Pt
6 2
Cartesian
0.000 1.204 2.408
0.000 3.611 2.408
1.204 2.408 0.000
2.408 0.000 1.204
2.408 0.000 3.611
3.611 2.408 0.000
0.000 0.000 0.000
2.408 2.408 2.408
```

Properties
VASP energy: -8.76 eV per atom
Energy of formation: -0.427 eV/atom
SG: Pm-3n (223)

Below is an optimized crystal structure of PtW, with properties calculated at the PBE level.

POSCAR file:
```
PtW
1.0
1.407 0.812 4.610
-1.407 0.812 4.610
0.000 -1.624 4.610
Pt W
1 1
Cartesian
0.000 0.000 0.000
0.000 0.000 6.915
```

Properties
VASP energy: -9.56 eV per atom
Energy of formation: -0.045 eV/atom
SG: R-3m (166)

Below is an optimized crystal structure of Pt3W, with properties calculated at the PBE level.

POSCAR file:
```
Pt3W
1.0
-1.964 1.964 4.036
1.964 -1.964 4.036
1.964 1.964 -4.036
Pt W
3 1
Cartesian
0.000 0.000 0.000
1.964 0.000 2.018
0.000 1.964 2.018
0.000 0.000 4.036
```

Properties
VASP energy: -8.03 eV per atom
Energy of formation: -0.240 eV/atom
SG: I4/mmm (139)

Below is an optimized crystal structure of Y7Pt3, with properties calculated at the PBE level.

POSCAR file:
```
Y7Pt3
1.0
4.980 -8.608 0.000
4.980 8.608 0.000
0.000 0.000 6.309
Y Pt
14 6
Cartesian
3.072 4.639 3.156
4.980 7.932 3.154
4.980 5.740 6.259
3.071 1.100 4.336
3.071 -1.100 1.181
4.980 2.202 1.183
6.889 4.639 3.156
3.072 -4.639 0.001
4.980 -2.202 4.337
6.890 1.100 4.336
6.890 -1.100 1.181
4.980 -5.740 3.105
4.980 -7.932 0.000
6.889 -4.639 0.001
2.151 1.631 1.626
2.151 -1.631 4.780
4.980 3.261 4.781
4.980 -3.261 1.626
7.810 1.631 1.626
7.810 -1.631 4.780
```

Properties
VASP energy: -7.17 eV per atom
Energy of formation: -0.820 eV/atom
SG: Cmc2_1 (36)

Below is an optimized crystal structure of Y4Pt, with properties calculated at the PBE level.

POSCAR file:
```
Y4Pt
1.0
0.000 5.536 5.536
5.536 0.000 5.536
5.536 5.536 0.000
Y Pt
8 2
Cartesian
8.458 5.381 5.381
2.613 2.613 2.613
5.691 5.691 2.613
5.691 2.613 5.691
5.381 8.458 5.381
5.381 5.381 8.458
8.458 8.458 8.458
2.613 5.691 5.691
4.152 4.152 4.152
6.920 6.920 6.920
```

Properties
VASP energy: -6.42 eV per atom
Energy of formation: -0.033 eV/atom
SG: Fd-3m (227)

Below is an optimized crystal structure of YPt2, with properties calculated at the PBE level.

POSCAR file:
```
YPt2
1.0
0.000 3.854 3.854
3.854 0.000 3.854
3.854 3.854 0.000
Y Pt
2 4
Cartesian
0.963 0.963 0.963
6.744 6.744 6.744
3.854 1.927 1.927
1.927 3.854 1.927
1.927 1.927 3.854
3.854 3.854 3.854
```

Properties
VASP energy: -7.29 eV per atom
Energy of formation: -1.084 eV/atom
SG: Fd-3m (227)

Below is an optimized crystal structure of YPt3, with properties calculated at the PBE level.

POSCAR file:
```
YPt3
1.0
4.130 0.000 0.000
0.000 4.130 0.000
0.000 0.000 4.130
Y Pt
1 3
Cartesian
0.000 0.000 0.000
0.000 2.065 2.065
2.065 0.000 2.065
2.065 2.065 0.000
```

Properties
VASP energy: -7.14 eV per atom
Energy of formation: -0.969 eV/atom
SG: Pm-3m (221)

Below is an optimized crystal structure of ZnPt, with properties calculated at the PBE level.

POSCAR file:
```
ZnPt
1.0
2.876 0.000 0.000
0.000 2.876 0.000
0.000 0.000 3.547
Zn Pt
1 1
Cartesian
0.000 0.000 0.000
1.438 1.438 1.773
```

Properties
VASP energy: -4.23 eV per atom
Energy of formation: -0.565 eV/atom
SG: P4/mmm (123)

Below is an optimized crystal structure of ZrPt3, with properties calculated at the PBE level.

POSCAR file:
```
ZrPt3
1.0
5.741 0.000 0.000
-2.870 4.971 0.000
0.000 0.000 9.381
Zr Pt
4 12
Cartesian
0.000 0.000 0.000
0.000 0.000 4.691
0.000 3.314 2.345
2.870 1.657 7.036
-1.435 2.486 0.000
-1.435 2.486 4.691
0.000 1.689 7.036
-1.407 4.127 7.036
1.463 0.845 2.345
2.870 0.000 0.000
2.870 0.000 4.691
1.435 2.486 0.000
1.435 2.486 4.691
1.407 4.127 7.036
4.277 0.845 2.345
2.870 3.282 2.345
```

Properties
VASP energy: -7.71 eV per atom
Energy of formation: -1.022 eV/atom
SG: P6_3/mmc (194)

Below is an optimized crystal structure of Zr7Pt10, with properties calculated at the PBE level.

POSCAR file:
```
Zr7Pt10
1.0
6.634 -4.854 0.000
6.634 4.854 0.000
0.000 0.000 9.741
Zr Pt
14 20
Cartesian
0.000 0.000 0.000
3.317 2.395 2.435
6.634 3.085 6.657
2.523 0.000 4.871
4.111 0.000 0.000
6.634 1.769 1.786
3.317 -2.395 7.306
6.634 0.000 4.871
9.951 2.395 2.435
6.634 -1.769 7.955
9.157 0.000 0.000
10.745 0.000 4.871
6.634 -3.085 3.085
9.951 -2.395 7.306
4.696 2.822 0.001
6.634 3.805 3.834
4.696 2.032 4.871
1.941 0.000 2.040
1.941 0.000 7.701
4.693 0.000 2.831
4.693 0.000 6.911
8.572 2.822 0.001
6.634 1.050 8.704
8.572 2.032 4.871
4.696 -2.032 4.870
6.634 -1.050 1.037
4.696 -2.822 9.741
8.575 0.000 2.831
8.575 0.000 6.911
11.327 0.000 2.040
11.327 0.000 7.701
8.572 -2.032 4.870
6.634 -3.805 5.907
8.572 -2.822 9.741
```

Properties
VASP energy: -8.17 eV per atom
Energy of formation: -1.075 eV/atom
SG: Cmce (64)